Entry 1:
39
Lattice="5.8250 0.0000 0.0000 -2.9125 5.0446 0.0000 0.0000 0.0000 25.3870" Properties=species:S:1:pos:R:3 comment="Nb5S8 meta-GGA r2SCAN relaxed" total_energy_ev_per_cell=-612.69 formation_energy_ev_per_atom=-1.25 pbc="T T T"
Nb 0.0000 0.0000 0.0000
Nb 0.0000 0.0000 3.2053
Nb 0.0000 0.0000 9.5570
Nb 0.0000 0.0000 15.8300
Nb 0.0000 0.0000 22.1817
Nb 0.0000 3.3631 3.1617
Nb 0.0000 3.3631 6.3878
Nb 0.0000 3.3631 9.5813
Nb 0.0000 3.3631 15.8057
Nb 0.0000 3.3631 18.9992
Nb 0.0000 3.3631 22.2252
Nb 2.9125 1.6815 3.1818
Nb 2.9125 1.6815 9.5566
Nb 2.9125 1.6815 15.8304
Nb 2.9125 1.6815 22.2051
S -0.9676 1.6862 17.4167
S -1.9360 3.3635 7.9703
S 1.9375 0.0073 14.2800
S 0.9750 1.6743 11.1070
S 0.9676 1.6862 7.9703
S -0.9684 5.0395 17.4167
S 1.9432 0.0065 1.6076
S 0.9773 1.6796 23.7793
S 1.9471 0.0071 4.7582
S 0.9797 1.6827 20.6288
S 3.8779 0.0071 20.6288
S 1.9451 3.3548 4.7582
S 1.9360 3.3635 17.4167
S 0.9684 5.0395 7.9703
S 3.8818 0.0065 23.7793
S 1.9466 3.3585 1.6076
S 3.8875 0.0073 11.1070
S 1.9500 3.3630 14.2800
S 4.8500 1.6743 14.2800
S 4.8478 1.6796 1.6076
S 4.8453 1.6827 4.7582
S 3.8799 3.3548 20.6288
S 3.8785 3.3585 23.7793
S 3.8750 3.3630 11.1070

Entry 2:
10
Lattice="0.0000 4.8853 4.8853 4.8853 0.0000 4.8853 4.8853 4.8853 0.0000" Properties=species:S:1:pos:R:3 comment="Cs2TlBiF6 meta-GGA r2SCAN relaxed" total_energy_ev_per_cell=-206.62 formation_energy_ev_per_atom=-2.60 pbc="T T T"
Cs 2.4426 2.4426 2.4426
Cs 7.3279 7.3279 7.3279
Tl 0.0000 0.0000 0.0000
Bi 4.8853 4.8853 4.8853
F 4.8853 4.8853 2.6331
F 4.8853 2.6331 4.8853
F 7.1375 4.8853 4.8853
F 2.6331 4.8853 4.8853
F 4.8853 7.1375 4.8853
F 4.8853 4.8853 7.1375

Entry 3:
6
Lattice="-3.1315 5.8033 3.0478 3.1315 -5.8033 3.0478 3.1315 5.8033 -3.0478" Properties=species:S:1:pos:R:3 comment="BeI2 meta-GGA r2SCAN relaxed" total_energy_ev_per_cell=-110.90 formation_energy_ev_per_atom=-0.67 de_polymorph_mev_per_atom=7 pbc="T T T"
Be 0.0000 0.0000 1.5239
Be 0.0000 0.0000 4.5717
I 1.3338 1.3390 0.0000
I 1.3338 -1.3390 3.0478
I 1.7977 7.1424 0.0000
I 1.7977 4.4643 3.0478

Entry 4:
16
Lattice="5.6692 0.0000 0.0000 0.0000 5.6692 0.0000 0.0000 0.0000 5.6692" Properties=species:S:1:pos:R:3 comment="NaPd3O4 meta-GGA r2SCAN relaxed" total_energy_ev_per_cell=-207.35 formation_energy_ev_per_atom=-0.92 pbc="T T T"
Na 0.0000 0.0000 0.0000
Na 2.8346 2.8346 2.8346
Pd 0.0000 1.4173 2.8346
Pd 0.0000 4.2519 2.8346
Pd 1.4173 2.8346 0.0000
Pd 2.8346 0.0000 1.4173
Pd 2.8346 0.0000 4.2519
Pd 4.2519 2.8346 0.0000
O 1.4173 1.4173 1.4173
O 1.4173 1.4173 4.2519
O 1.4173 4.2519 1.4173
O 1.4173 4.2519 4.2519
O 4.2519 1.4173 1.4173
O 4.2519 1.4173 4.2519
O 4.2519 4.2519 1.4173
O 4.2519 4.2519 4.2519

Entry 5:
5
Lattice="-2.0346 2.0346 4.7300 2.0346 -2.0346 4.7300 2.0346 2.0346 -4.7300" Properties=species:S:1:pos:R:3 comment="ThCo2Si2 meta-GGA r2SCAN relaxed" total_energy_ev_per_cell=-121.26 formation_energy_ev_per_atom=-0.75 pbc="T T T"
Th 0.0000 0.0000 0.0000
Co 2.0346 0.0000 2.3650
Co 0.0000 2.0346 2.3650
Si 0.0000 0.0000 3.4441
Si 0.0000 0.0000 6.0159

Entry 6:
4
Lattice="0.0000 3.2342 3.2342 3.2342 0.0000 3.2342 3.2342 3.2342 0.0000" Properties=species:S:1:pos:R:3 comment="PaAlCu2 meta-GGA r2SCAN relaxed" total_energy_ev_per_cell=-105.90 formation_energy_ev_per_atom=-0.15 pbc="T T T"
Pa 0.0000 0.0000 0.0000
Al 3.2342 3.2342 3.2342
Cu 1.6171 1.6171 1.6171
Cu 4.8512 4.8512 4.8512

Entry 7:
44
Lattice="8.0525 0.0000 0.0000 0.0000 8.0525 0.0000 0.0000 0.0000 12.0500" Properties=species:S:1:pos:R:3 comment="Ca5Co2N4 meta-GGA r2SCAN relaxed" total_energy_ev_per_cell=-430.10 formation_energy_ev_per_atom=-0.85 pbc="T T T"
Ca 0.6154 5.0947 1.1472
Ca 0.6154 6.9841 7.1722
Ca 1.0684 4.6417 4.8778
Ca 1.0684 7.4371 10.9029
Ca 2.0131 2.0131 1.8011
Ca 2.0131 2.0131 7.8262
Ca 2.9578 4.6417 10.9029
Ca 2.9578 7.4371 4.8778
Ca 3.4108 5.0947 7.1722
Ca 3.4108 6.9841 1.1472
Ca 4.6417 1.0684 10.9029
Ca 4.6417 2.9578 4.8778
Ca 5.0947 0.6154 7.1722
Ca 5.0947 3.4108 1.1472
Ca 6.0394 6.0394 4.2239
Ca 6.0394 6.0394 10.2489
Ca 6.9841 0.6154 1.1472
Ca 6.9841 3.4108 7.1722
Ca 7.4371 1.0684 4.8778
Ca 7.4371 2.9578 10.9029
Co 0.7356 4.7619 9.0375
Co 0.7356 7.3169 3.0125
Co 3.2906 4.7619 3.0125
Co 3.2906 7.3169 9.0375
Co 4.7619 0.7356 3.0125
Co 4.7619 3.2906 9.0375
Co 7.3169 0.7356 9.0375
Co 7.3169 3.2906 3.0125
N 0.3937 5.1503 10.7571
N 0.3937 6.9284 4.7321
N 1.1241 4.4199 7.3179
N 1.1241 7.6589 1.2929
N 2.9022 4.4199 1.2929
N 2.9022 7.6589 7.3179
N 3.6326 5.1503 4.7321
N 3.6326 6.9284 10.7571
N 4.4199 1.1241 1.2929
N 4.4199 2.9022 7.3179
N 5.1503 0.3937 4.7321
N 5.1503 3.6326 10.7571
N 6.9284 0.3937 10.7571
N 6.9284 3.6326 4.7321
N 7.6589 1.1241 7.3179
N 7.6589 2.9022 1.2929

Entry 8:
4
Lattice="0.0000 2.9221 2.9221 2.9221 0.0000 2.9221 2.9221 2.9221 0.0000" Properties=species:S:1:pos:R:3 comment="Al2NiRu meta-GGA r2SCAN relaxed" total_energy_ev_per_cell=-53.84 formation_energy_ev_per_atom=-0.74 pbc="T T T"
Al 1.4611 1.4611 1.4611
Al 4.3832 4.3832 4.3832
Ni 0.0000 0.0000 0.0000
Ru 2.9221 2.9221 2.9221

Entry 9:
4
Lattice="1.9295 -5.8530 0.0000 1.9295 5.8530 0.0000 0.0000 0.0000 3.9566" Properties=species:S:1:pos:R:3 comment="ThRu meta-GGA r2SCAN relaxed" total_energy_ev_per_cell=-199.99 formation_energy_ev_per_atom=-0.55 pbc="T T T"
Th 1.9295 4.2588 2.9675
Th 1.9295 -4.2588 0.9892
Ru 1.9295 1.0861 2.9675
Ru 1.9295 -1.0861 0.9892

Entry 10:
20
Lattice="6.1280 0.0000 0.0000 0.0000 2.9297 0.0000 0.0000 0.0000 13.1057" Properties=species:S:1:pos:R:3 comment="NaCu2O2 meta-GGA r2SCAN relaxed" total_energy_ev_per_cell=-169.31 formation_energy_ev_per_atom=-1.03 de_polymorph_mev_per_atom=0 pbc="T T T"
Na 0.9184 0.7324 1.0140
Na 2.1456 2.1973 7.5669
Na 3.9824 0.7324 5.5389
Na 5.2096 2.1973 12.0917
Cu 0.6767 0.7324 9.9371
Cu 0.8418 0.7324 5.1032
Cu 2.2222 2.1973 11.6560
Cu 2.3873 2.1973 3.3842
Cu 3.7407 0.7324 9.7215
Cu 3.9058 0.7324 1.4497
Cu 5.2862 2.1973 8.0025
Cu 5.4513 2.1973 3.1686
O 0.4649 0.7324 8.1135
O 0.8877 0.7324 11.7763
O 2.1763 2.1973 5.2234
O 2.5991 2.1973 1.5606
O 3.5289 0.7324 11.5451
O 3.9517 0.7324 7.8823
O 5.2404 2.1973 1.3295
O 5.6631 2.1973 4.9922

Entry 11:
40
Lattice="9.6965 0.0000 0.0000 0.0000 9.6965 0.0000 0.0000 0.0000 5.0541" Properties=species:S:1:pos:R:3 comment="BNF8 meta-GGA r2SCAN relaxed" total_energy_ev_per_cell=-225.26 formation_energy_ev_per_atom=-1.48 pbc="T T T"
B 2.3609 2.4873 0.5099
B 2.4873 7.3356 4.5442
B 7.2091 2.3609 4.5442
B 7.3356 7.2091 0.5099
N 0.0000 0.0000 2.5270
N 0.0000 4.8482 2.3220
N 4.8482 0.0000 2.7321
N 4.8482 4.8482 2.5270
F 0.5247 0.9460 3.2972
F 0.7658 5.6141 1.5545
F 0.7709 4.0773 3.0827
F 0.9460 9.1717 1.7569
F 1.0688 2.1517 0.9601
F 1.5583 6.4065 4.0552
F 2.1517 8.6276 4.0940
F 2.3679 2.4804 4.1559
F 2.4804 7.3286 0.8982
F 2.6966 3.7794 0.9601
F 3.2900 1.5583 0.9989
F 3.7794 6.9999 4.0940
F 3.9022 4.3235 3.2972
F 4.0773 8.9256 1.9714
F 4.0824 0.7658 3.4996
F 4.3235 5.7943 1.7569
F 5.3730 3.9022 1.7569
F 5.6141 8.9306 3.4996
F 5.6191 0.7709 1.9714
F 5.7943 5.3730 3.2972
F 5.9171 2.6966 4.0940
F 6.4065 8.1382 0.9989
F 6.9999 5.9171 0.9601
F 7.2161 2.3679 0.8982
F 7.3286 7.2161 4.1559
F 7.5448 1.0688 4.0940
F 8.1382 3.2900 4.0552
F 8.6276 7.5448 0.9601
F 8.7504 0.5247 1.7569
F 8.9256 5.6191 3.0827
F 8.9306 4.0824 1.5545
F 9.1717 8.7504 3.2972

Entry 12:
33
Lattice="4.0576 2.3426 7.3709 -4.0576 2.3426 7.3709 0.0000 -4.6853 7.3709" Properties=species:S:1:pos:R:3 comment="VS2O8 meta-GGA r2SCAN relaxed" total_energy_ev_per_cell=-287.43 formation_energy_ev_per_atom=-1.62 de_polymorph_mev_per_atom=8 pbc="T T T"
V 0.0000 0.0000 0.0000
V 0.0000 0.0000 4.4418
V 0.0000 0.0000 11.1270
S -1.1974 -2.5953 9.6736
S -2.3163 -0.0134 13.3730
S -1.6489 2.3346 9.6736
S 1.1697 -1.9993 13.3730
S 2.8463 0.2607 9.6736
S 1.1466 2.0127 13.3730
O -0.2650 -1.5096 3.3293
O -1.5074 -0.4579 5.4640
O -0.7278 -3.2297 8.3910
O -1.1749 0.9843 3.3293
O -3.4459 -0.9721 13.4976
O -2.4332 2.2451 8.3910
O 1.1502 -1.0765 5.4640
O -0.1178 -1.6271 10.0365
O -1.4636 -0.5869 12.2893
O -1.3502 0.9156 10.0365
O 1.4399 0.5254 3.3294
O 0.3572 1.5344 5.4640
O -1.6443 0.2492 14.5804
O -0.5175 -1.5288 16.9681
O 0.6063 -1.5486 14.5804
O 1.2401 -0.9740 12.2893
O 1.4680 0.7115 10.0365
O 0.2235 1.5610 12.2893
O -1.0653 1.2126 16.9681
O 2.5648 -2.4982 13.4976
O 3.1609 0.9846 8.3910
O 1.0380 1.2994 14.5804
O 0.8811 3.4703 13.4976
O 1.5828 0.3163 16.9681